The following is a DFT calculation (PBE with a Hubbard U) of a relaxed Ti3Fe2SbP6O24 crystal.

The mass density comes out at 3.3 g cm⁻³. The value obtained for the uncorrected energy is -7.566 eV per atom. The calculation puts the calculated formation energy at -97.386 eV/f.u.

abc: 8.8151 8.8151 21.0082
angles: 90.00 90.00 120.00
Space group R3 (No. 146, hexagonal axes)
One atom of each set of equivalent atoms:
Ti: 0.0000 0.0000 0.0000 x3
Ti: 0.0000 0.0000 0.2092 x3
Ti: 0.0000 0.0000 0.7078 x3
Fe: 0.0000 0.0000 0.3538 x3
Fe: 0.0000 0.0000 0.8549 x3
Sb: 0.0000 0.0000 0.5001 x3
P: 0.0289 0.3615 0.2720 x9
P: 0.0487 0.6768 0.7696 x9
O: 0.0018 0.1917 0.6619 x9
O: 0.0028 0.8092 0.1642 x9
O: 0.0114 0.1776 0.2800 x9
O: 0.0265 0.8410 0.7776 x9
O: 0.1104 0.4427 0.2081 x9
O: 0.1543 0.6899 0.0891 x9
O: 0.1640 0.4922 0.6024 x9
O: 0.1658 0.6972 0.7120 x9

---

The following is a DFT calculation (PBE with a Hubbard U) of a relaxed Ba2Ca2Mn3Tl2O10 crystal.

The mass density comes out at 6.1 g cm⁻³. The value obtained for the uncorrected energy is -6.313 eV per atom. The calculation puts the calculated formation energy at -42.289 eV/f.u.

abc: 3.9874 4.0283 18.5771
angles: 83.92 83.91 90.00
Space group P1 (No. 1)
One atom of each set of equivalent atoms:
Ba: 0.0000 0.0000 0.0000 x1
Ba: 0.3080 0.2842 0.4156 x1
Ca: 0.0989 0.0965 0.8040 x1
Ca: 0.2057 0.1870 0.6164 x1
Mn: 0.5494 0.5513 0.8992 x1
Mn: 0.6511 0.6409 0.7103 x1
Mn: 0.7546 0.7319 0.5239 x1
Tl: 0.4331 0.3713 0.1418 x1
Tl: 0.8740 0.8406 0.2703 x1
O: 0.0581 0.5579 0.8813 x1
O: 0.1504 0.6399 0.7116 x1
O: 0.2455 0.7227 0.5425 x1
O: 0.3819 0.4807 0.2526 x1
O: 0.4906 0.5075 0.0203 x1
O: 0.5573 0.0591 0.8833 x1
O: 0.6497 0.1402 0.7117 x1
O: 0.7456 0.2238 0.5408 x1
O: 0.8095 0.7844 0.4146 x1
O: 0.9346 0.0862 0.1392 x1

---

The following is a DFT calculation (PBE with a Hubbard U) of a relaxed CaWO2 crystal.

The mass density comes out at 7.7 g cm⁻³. The value obtained for the uncorrected energy is -6.376 eV per atom. The calculation puts the calculated formation energy at -6.456 eV/f.u.

abc: 2.9634 8.6212 8.8959
angles: 88.95 80.62 80.94
Space group P-1 (No. 2)
One atom of each set of equivalent atoms:
Ca: 0.1537 0.4784 0.2318 x2
Ca: 0.3447 0.8146 0.4744 x2
W: 0.0673 0.8277 0.1093 x2
W: 0.3302 0.1128 0.1949 x2
O: 0.1418 0.0336 0.6720 x2
O: 0.2880 0.7200 0.7068 x2
O: 0.3188 0.2947 0.0340 x2
O: 0.4483 0.3135 0.7556 x2

---

The following is a DFT calculation (PBE with a Hubbard U) of a relaxed MgPb2WO6 crystal.

The mass density comes out at 9.0 g cm⁻³. The value obtained for the uncorrected energy is -6.441 eV per atom. The calculation puts the calculated formation energy at -21.302 eV/f.u.

abc: 8.0851 8.0851 8.0851
angles: 90.00 90.00 90.00
Space group Fm-3m (No. 225)
One atom of each set of equivalent atoms:
Mg: 0.0000 0.0000 0.0000 x4
Pb: 0.2500 0.2500 0.2500 x8
W: 0.0000 0.0000 0.5000 x4
O: 0.0000 0.0000 0.2583 x24

---

The following is a DFT calculation (PBE with a Hubbard U) of a relaxed Li2Ni3B3O9 crystal.

The mass density comes out at 3.5 g cm⁻³. The value obtained for the uncorrected energy is -6.296 eV per atom. The calculation puts the calculated formation energy at -35.109 eV/f.u.

abc: 6.0615 8.1022 8.1038
angles: 119.93 90.09 90.08
Space group P1 (No. 1)
One atom of each set of equivalent atoms:
Li: 0.0000 0.0000 0.0000 x1
Li: 0.0032 0.6733 0.4230 x1
Li: 0.4979 0.2520 0.6760 x1
Li: 0.5028 0.0009 0.0005 x1
Ni: 0.2464 0.9600 0.3241 x1
Ni: 0.2492 0.6026 0.7113 x1
Ni: 0.2530 0.3608 0.0683 x1
Ni: 0.7462 0.9596 0.3204 x1
Ni: 0.7504 0.3612 0.0678 x1
Ni: 0.7507 0.6028 0.7089 x1
B: 0.9996 0.6429 0.0371 x1
B: 0.2498 0.9762 0.7062 x1
B: 0.4980 0.3066 0.3633 x1
B: 0.5000 0.6439 0.0285 x1
B: 0.7511 0.9762 0.7021 x1
B: 0.9992 0.3074 0.3658 x1
O: 0.9995 0.4301 0.5593 x1
O: 0.0005 0.7234 0.9200 x1
O: 0.0022 0.3869 0.2485 x1
O: 0.0021 0.4481 0.9591 x1
O: 0.2381 0.7800 0.6117 x1
O: 0.2517 0.0769 0.9032 x1
O: 0.2608 0.0664 0.6010 x1
O: 0.4942 0.1099 0.2857 x1
O: 0.4962 0.7599 0.2232 x1
O: 0.4983 0.4218 0.5591 x1
O: 0.5004 0.4464 0.9478 x1
O: 0.5023 0.3779 0.2412 x1
O: 0.5033 0.7234 0.9099 x1
O: 0.7326 0.0653 0.5966 x1
O: 0.7514 0.0776 0.8994 x1
O: 0.7676 0.7803 0.6090 x1
O: 0.9962 0.1117 0.2864 x1
O: 0.9960 0.7597 0.2352 x1

---

The following is a DFT calculation (PBE with a Hubbard U) of a relaxed MnTlF3 crystal.

The mass density comes out at 6.5 g cm⁻³. The value obtained for the uncorrected energy is -5.440 eV per atom. The calculation puts the calculated formation energy at -12.987 eV/f.u.

abc: 4.3162 4.3162 4.3162
angles: 90.00 90.00 90.00
Space group Pm-3m (No. 221)
One atom of each set of equivalent atoms:
Mn: 0.0000 0.0000 0.0000 x1
Tl: 0.5000 0.5000 0.5000 x1
F: 0.0000 0.0000 0.5000 x3

---

The following is a DFT calculation (PBE with a Hubbard U) of a relaxed MgV5Mo5O25 crystal.

The mass density comes out at 4.1 g cm⁻³. The value obtained for the uncorrected energy is -7.194 eV per atom. The calculation puts the calculated formation energy at -75.733 eV/f.u.

abc: 5.4813 6.6240 13.7187
angles: 101.74 93.40 103.95
Space group P1 (No. 1)
One atom of each set of equivalent atoms:
Mg: 0.0000 0.0000 0.0000 x1
V: 0.0719 0.0257 0.7654 x1
V: 0.0745 0.8461 0.1954 x1
V: 0.4783 0.8294 0.5692 x1
V: 0.6489 0.0259 0.3843 x1
V: 0.6506 0.2158 0.9467 x1
Mo: 0.2511 0.4196 0.1599 x1
Mo: 0.2766 0.2454 0.5860 x1
Mo: 0.4912 0.6581 0.9942 x1
Mo: 0.8519 0.6103 0.3670 x1
Mo: 0.8840 0.4535 0.7848 x1
O: 0.0136 0.5460 0.2380 x1
O: 0.1215 0.7062 0.4537 x1
O: 0.1327 0.3067 0.7184 x1
O: 0.1534 0.1310 0.1526 x1
O: 0.2037 0.5733 0.9081 x1
O: 0.2509 0.0831 0.8829 x1
O: 0.2593 0.9780 0.6516 x1
O: 0.3122 0.7092 0.1164 x1
O: 0.3642 0.5199 0.5750 x1
O: 0.3901 0.9601 0.3007 x1
O: 0.4458 0.3769 0.0468 x1
O: 0.4865 0.0930 0.5107 x1
O: 0.4987 0.4925 0.2560 x1
O: 0.6251 0.9244 0.9479 x1
O: 0.6280 0.7538 0.4389 x1
O: 0.6431 0.3558 0.6847 x1
O: 0.6723 0.4828 0.8906 x1
O: 0.7414 0.9013 0.6490 x1
O: 0.7603 0.3362 0.3785 x1
O: 0.8186 0.1634 0.8284 x1
O: 0.8339 0.7638 0.0751 x1
O: 0.8736 0.8841 0.3068 x1
O: 0.9184 0.3032 0.0345 x1
O: 0.9771 0.7246 0.7707 x1
O: 0.9984 0.1500 0.5035 x1

---

The following is a DFT calculation (PBE with a Hubbard U) of a relaxed La7SmMn3Fe5O24 crystal.

The mass density comes out at 6.6 g cm⁻³. The value obtained for the uncorrected energy is -7.650 eV per atom. The calculation puts the calculated formation energy at -110.921 eV/f.u.

abc: 11.1852 11.1861 7.8748
angles: 90.00 90.01 90.00
Space group Cm (No. 8)
One atom of each set of equivalent atoms:
La: 0.9998 0.0000 0.0000 x2
La: 0.9997 0.0000 0.4975 x2
La: 0.0000 0.5000 0.0000 x2
La: 0.2499 0.2501 0.0000 x4
La: 0.2499 0.2501 0.4976 x4
Sm: 0.9999 0.5000 0.4977 x2
Mn: 0.9999 0.2503 0.2490 x4
Mn: 0.2496 0.5000 0.2491 x2
Fe: 0.9999 0.2503 0.7485 x4
Fe: 0.2502 0.0000 0.2490 x2
Fe: 0.2502 0.0000 0.7485 x2
Fe: 0.2496 0.5000 0.7485 x2
O: 0.9999 0.2501 0.9979 x4
O: 0.9999 0.2513 0.4996 x4
O: 0.1245 0.3759 0.2501 x4
O: 0.1244 0.3758 0.7475 x4
O: 0.1247 0.1252 0.7487 x4
O: 0.1263 0.1237 0.2488 x4
O: 0.2486 0.5000 0.4988 x2
O: 0.2499 0.0000 0.9983 x2
O: 0.2498 0.5000 0.9987 x2
O: 0.2511 0.0000 0.4992 x2
O: 0.3742 0.1230 0.2501 x4
O: 0.3746 0.3752 0.2488 x4
O: 0.3747 0.3751 0.7487 x4
O: 0.3757 0.1246 0.7475 x4

---

The following is a DFT calculation (PBE with a Hubbard U) of a relaxed Fe3P2H6O11 crystal.

The mass density comes out at 3.3 g cm⁻³. The value obtained for the uncorrected energy is -5.707 eV per atom. The calculation puts the calculated formation energy at -28.856 eV/f.u.

abc: 11.5984 10.1713 7.0678
angles: 90.00 90.00 90.00
Space group Pbcn (No. 60)
One atom of each set of equivalent atoms:
Fe: 0.0000 0.0000 0.0000 x4
Fe: 0.1339 0.4725 0.0464 x8
P: 0.1056 0.2600 0.3872 x8
H: 0.0708 0.2080 0.8750 x8
H: 0.1978 0.3205 0.5034 x8
H: 0.2358 0.1758 0.7494 x8
O: 0.0000 0.1846 0.2500 x4
O: 0.0204 0.3722 0.4612 x8
O: 0.1036 0.1186 0.8793 x8
O: 0.1264 0.1279 0.4953 x8
O: 0.1648 0.4498 0.7868 x8
O: 0.1866 0.2939 0.2000 x8

---

The following is a DFT calculation (PBE with a Hubbard U) of a relaxed CoPO4 crystal.

The mass density comes out at 2.6 g cm⁻³. The value obtained for the uncorrected energy is -6.750 eV per atom. The calculation puts the calculated formation energy at -12.570 eV/f.u. As for the piezoelectric modulus e_max: 0.7 C/m2.

abc: 8.6487 5.3372 8.7690
angles: 90.00 106.35 90.00
Space group Cc (No. 9)
One atom of each set of equivalent atoms:
Co: 0.0000 0.1974 0.0000 x4
P: 0.1231 0.3022 0.3732 x4
O: 0.0024 0.2731 0.2067 x4
O: 0.0665 0.1308 0.4900 x4
O: 0.1294 0.4241 0.9327 x4
O: 0.2949 0.2359 0.3641 x4

---

The following is a DFT calculation (PBE with a Hubbard U) of a relaxed Li4V2Fe5O12 crystal.

The mass density comes out at 4.4 g cm⁻³. The value obtained for the uncorrected energy is -6.539 eV per atom. The calculation puts the calculated formation energy at -45.798 eV/f.u.

abc: 5.1241 9.0623 9.9731
angles: 90.00 101.66 90.00
Space group P2_1 (No. 4)
One atom of each set of equivalent atoms:
Li: 0.0017 0.0000 0.2490 x2
Li: 0.0130 0.1614 0.7576 x2
Li: 0.2581 0.0045 0.9970 x2
Li: 0.4929 0.1631 0.2456 x2
V: 0.2546 0.3381 0.0070 x2
V: 0.2547 0.8366 0.5057 x2
Fe: 0.0084 0.8372 0.7520 x2
Fe: 0.2516 0.1607 0.5080 x2
Fe: 0.2539 0.6580 0.0072 x2
Fe: 0.2612 0.5050 0.5018 x2
Fe: 0.4936 0.8277 0.2467 x2
O: 0.0984 0.8227 0.1102 x2
O: 0.1106 0.9923 0.6214 x2
O: 0.1147 0.1839 0.1259 x2
O: 0.1159 0.4900 0.1177 x2
O: 0.1165 0.3440 0.6155 x2
O: 0.1356 0.6744 0.6284 x2
O: 0.3464 0.6781 0.3858 x2
O: 0.3613 0.4921 0.8906 x2
O: 0.3621 0.3340 0.3851 x2
O: 0.3764 0.1845 0.8897 x2
O: 0.3795 0.9957 0.3766 x2
O: 0.3853 0.8196 0.8848 x2